DFT (PBE+U) results for a relaxed NaFe2Mo3O12 crystal.

The structure in POSCAR format:
```
NaFe2Mo3O12
1.0
-6.9738 0.0000 0.0000
-0.2113 -6.9938 0.0000
2.7655 2.6708 11.2838
Mo O Fe Na
6 24 4 2
direct
0.8050 0.7989 0.7433 Mo
0.3473 0.2501 0.8930 Mo
0.7525 0.2453 0.5000 Mo
0.6527 0.7499 0.1070 Mo
0.2475 0.7547 0.5000 Mo
0.1950 0.2011 0.2567 Mo
0.2608 0.2638 0.4197 O
0.6919 0.0053 0.1654 O
0.6434 0.6313 0.2324 O
0.1510 0.3455 0.9572 O
0.9703 0.3218 0.2057 O
0.0297 0.6782 0.7943 O
0.9948 0.7390 0.4215 O
0.7239 0.3992 0.3929 O
0.5768 0.2951 0.0022 O
0.8245 0.0550 0.7920 O
0.2761 0.6008 0.6071 O
0.0052 0.2610 0.5785 O
0.3789 0.2961 0.1993 O
0.6211 0.7039 0.8007 O
0.3081 0.9947 0.8346 O
0.3566 0.3687 0.7676 O
0.1755 0.9450 0.2080 O
0.3975 0.6763 0.3947 O
0.6025 0.3237 0.6053 O
0.6812 0.9977 0.4226 O
0.8490 0.6545 0.0428 O
0.4232 0.7049 0.9978 O
0.7392 0.7362 0.5803 O
0.3188 0.0023 0.5774 O
0.3293 0.6924 0.8114 Fe
0.6707 0.3076 0.1886 Fe
0.6978 0.7027 0.4089 Fe
0.3022 0.2973 0.5911 Fe
0.8197 0.3976 0.8680 Na
0.1803 0.6024 0.1320 Na
```

Computed properties:
- Crystal system: triclinic
- Offset from the most stable computed form: 0.005 eV/atom
- Formation energy from the elements: -1939 meV/atom
- SG: P-1 (2)

DFT (PBE+U) results for a relaxed Li3Cr4P6O24 crystal.

The structure in POSCAR format:
```
Li3Cr4P6O24
1.0
8.4659 0.0000 0.0000
4.1149 7.4252 0.0000
4.2086 2.4572 7.0243
O Li P Cr
24 3 6 4
direct
0.0296 0.1201 0.2966 O
0.6213 0.3104 0.4792 O
0.7670 0.0614 0.9141 O
0.1286 0.0058 0.7988 O
0.0656 0.7642 0.4138 O
0.6856 0.3812 0.0137 O
0.2572 0.4161 0.5617 O
0.9923 0.8720 0.6998 O
0.5382 0.9163 0.2769 O
0.7385 0.5876 0.4412 O
0.4419 0.0912 0.7334 O
0.5881 0.7415 0.9388 O
0.1852 0.4808 0.8855 O
0.8754 0.9960 0.2039 O
0.4636 0.1915 0.3869 O
0.9087 0.5600 0.7645 O
0.9517 0.2260 0.5777 O
0.3172 0.6200 0.9835 O
0.2390 0.9326 0.0821 O
0.4100 0.2581 0.0624 O
0.0947 0.4379 0.2358 O
0.3763 0.6820 0.5213 O
0.8123 0.5231 0.1143 O
0.5190 0.8119 0.6190 O
0.5115 0.0014 0.9855 Li
0.2507 0.1376 0.3476 Li
0.9926 0.5100 0.4981 Li
0.4512 0.2513 0.5371 P
0.9604 0.0381 0.7515 P
0.7477 0.5450 0.9637 P
0.2519 0.4572 0.0346 P
0.5432 0.7460 0.4661 P
0.0449 0.9577 0.2507 P
0.1359 0.6349 0.6486 Cr
0.3635 0.8601 0.8561 Cr
0.8597 0.3640 0.3529 Cr
0.6397 0.1385 0.1442 Cr
```

Computed properties:
- Crystal system: triclinic
- Offset from the most stable computed form: 0.000 eV/atom
- Formation energy from the elements: -2513 meV/atom
- SG: P1 (1)

DFT (PBE+U) results for a relaxed Hf3NiF6 crystal.

The structure in POSCAR format:
```
Hf3NiF6
1.0
1.1063 5.5851 2.2844
5.1955 -2.4677 -4.8604
-3.4337 3.5819 -7.2281
Hf F Ni
3 6 1
direct
0.5000 0.5000 0.0000 Hf
0.0000 0.5000 0.0000 Hf
0.0000 0.0000 0.5000 Hf
0.0796 0.0616 0.2818 F
0.9204 0.9384 0.7182 F
0.8875 0.2268 0.9592 F
0.1125 0.7732 0.0408 F
0.6463 0.7743 0.0412 F
0.3537 0.2257 0.9588 F
0.0000 0.0000 0.0000 Ni
```

Computed properties:
- Crystal system: triclinic
- Offset from the most stable computed form: 0.122 eV/atom
- Formation energy from the elements: -1859 meV/atom
- SG: P-1 (2)

DFT (PBE+U) results for a relaxed Ba2MgZnWO6 crystal.

The structure in POSCAR format:
```
Ba2MgZnWO6
1.0
5.5738 0.2708 3.5154
2.1133 5.1648 3.5154
0.3093 0.2187 6.5058
O W Ba Zn Mg
6 1 2 1 1
direct
0.2147 0.7466 0.7585 O
0.2245 0.7563 0.2156 O
0.2235 0.2235 0.7599 O
0.7563 0.2245 0.2156 O
0.7493 0.7493 0.2123 O
0.7466 0.2147 0.7585 O
0.9887 0.9887 0.9889 W
0.2047 0.2047 0.1990 Ba
0.7722 0.7722 0.7766 Ba
0.5849 0.5849 0.5781 Zn
0.4097 0.4097 0.4145 Mg
```

Computed properties:
- Crystal system: monoclinic
- Offset from the most stable computed form: 0.000 eV/atom
- Formation energy from the elements: -2402 meV/atom
- SG: Cm (8)

DFT (PBE+U) results for a relaxed GdCrO4 crystal.

The structure in POSCAR format:
```
GdCrO4
1.0
-3.6499 3.6499 3.1733
3.6499 -3.6499 3.1733
3.6499 3.6499 -3.1733
O Gd Cr
8 2 2
direct
0.4217 0.1047 0.6830 O
0.9887 0.1717 0.8170 O
0.3547 0.1717 0.1830 O
0.4217 0.7387 0.3170 O
0.8953 0.5783 0.3170 O
0.2613 0.5783 0.6830 O
0.8283 0.6453 0.8170 O
0.8283 0.0113 0.1830 O
0.7500 0.2500 0.5000 Gd
0.5000 0.5000 0.0000 Gd
0.2500 0.7500 0.5000 Cr
0.0000 0.0000 0.0000 Cr
```

Computed properties:
- Crystal system: tetragonal
- Formation energy from the elements: -2745 meV/atom
- SG: I4_1/amd (141)

DFT (PBE+U) results for a relaxed V3W2O12 crystal.

The structure in POSCAR format:
```
V3W2O12
1.0
-8.0097 0.7380 4.8975
-2.8638 -8.1807 -3.4510
2.7803 -14.4204 6.7200
O V W
48 12 8
direct
0.1505 0.6564 0.4254 O
0.4196 0.9356 0.1461 O
0.7041 0.9963 0.1610 O
0.3631 0.2866 0.0704 O
0.0016 0.0749 0.7490 O
0.6505 0.3436 0.0746 O
0.3009 0.6904 0.6565 O
0.5114 0.4402 0.7514 O
0.1339 0.4392 0.9296 O
0.7959 0.9963 0.6610 O
0.0114 0.5598 0.7486 O
0.4984 0.0749 0.2490 O
0.8661 0.5608 0.0704 O
0.3661 0.4392 0.4296 O
0.0804 0.9356 0.6461 O
0.9886 0.4402 0.2514 O
0.8009 0.3096 0.8435 O
0.6369 0.7134 0.9296 O
0.9164 0.7874 0.1320 O
0.8631 0.7134 0.4296 O
0.5804 0.0644 0.8539 O
0.3495 0.6564 0.9254 O
0.5836 0.7874 0.6320 O
0.6339 0.5608 0.5704 O
0.5562 0.1966 0.9798 O
0.9984 0.9251 0.2510 O
0.4886 0.5598 0.2486 O
0.1369 0.2866 0.5704 O
0.9196 0.0644 0.3539 O
0.9426 0.1722 0.0249 O
0.4164 0.2126 0.3680 O
0.2959 0.0037 0.8390 O
0.4438 0.8034 0.0202 O
0.8466 0.5137 0.9110 O
0.5016 0.9251 0.7510 O
0.2041 0.0037 0.3390 O
0.5574 0.1722 0.5249 O
0.0562 0.8034 0.5202 O
0.8495 0.3436 0.5746 O
0.9438 0.1966 0.4798 O
0.6534 0.5137 0.4110 O
0.0836 0.2126 0.8680 O
0.1534 0.4863 0.0890 O
0.0574 0.8278 0.9751 O
0.1991 0.6904 0.1565 O
0.6991 0.3096 0.3435 O
0.3466 0.4863 0.5890 O
0.4426 0.8278 0.4751 O
0.3932 0.0286 0.3567 V
0.8932 0.9714 0.1433 V
0.2495 0.4673 0.0039 V
0.1107 0.7434 0.6437 V
0.3893 0.7434 0.1437 V
0.6068 0.9714 0.6433 V
0.7505 0.5327 0.9961 V
0.2505 0.4673 0.5039 V
0.8893 0.2566 0.3563 V
0.6107 0.2566 0.8563 V
0.7495 0.5327 0.4961 V
0.1068 0.0286 0.8567 V
0.4708 0.6370 0.6164 W
0.0327 0.8740 0.3823 W
0.0292 0.6370 0.1164 W
0.9708 0.3630 0.8836 W
0.9673 0.1260 0.6177 W
0.5292 0.3630 0.3836 W
0.4673 0.8740 0.8823 W
0.5327 0.1260 0.1177 W
```

Computed properties:
- Crystal system: monoclinic
- Formation energy from the elements: -2261 meV/atom
- SG: P2_1/c (14)

DFT (PBE+U) results for a relaxed VO3 crystal.

The structure in POSCAR format:
```
VO3
1.0
1.5449 -2.4585 4.6986
-4.8199 -1.4167 2.2954
2.8241 -1.0913 -4.6196
V O
2 6
direct
0.2500 0.0818 0.8318 V
0.7500 0.9182 0.1682 V
0.1429 0.1429 0.5000 O
0.3571 0.8571 0.0000 O
0.7500 0.4967 0.7467 O
0.6429 0.1429 0.0000 O
0.8571 0.8571 0.5000 O
0.2500 0.5033 0.2533 O
```

Computed properties:
- Crystal system: orthorhombic
- Formation energy from the elements: -1692 meV/atom
- SG: Imma (74)

DFT (PBE+U) results for a relaxed LiVF3 crystal.

The structure in POSCAR format:
```
LiVF3
1.0
-1.6581 -3.6683 5.7634
3.9979 -6.5876 -2.3881
17.6589 3.9267 10.7492
Li V F
18 18 54
direct
0.1839 0.0012 0.9102 Li
0.6910 0.0423 0.2314 Li
0.7306 0.6983 0.8598 Li
0.3090 0.9577 0.7686 Li
0.1317 0.6891 0.7063 Li
0.7312 0.3358 0.4443 Li
0.4975 0.8637 0.4125 Li
0.6185 0.7201 0.0174 Li
0.3815 0.2799 0.9826 Li
0.8161 0.9988 0.0898 Li
0.8683 0.3109 0.2937 Li
0.5333 0.4350 0.7983 Li
0.4667 0.5650 0.2017 Li
0.2694 0.3017 0.1402 Li
0.5025 0.1363 0.5875 Li
0.6464 0.4031 0.6547 Li
0.3536 0.5969 0.3453 Li
0.2688 0.6642 0.5557 Li
0.1069 0.6491 0.0348 V
0.7997 0.0496 0.7346 V
0.8603 0.7019 0.3496 V
0.2508 0.2719 0.4937 V
0.5999 0.0300 0.9018 V
0.3951 0.2396 0.3432 V
0.6049 0.7604 0.6568 V
0.0064 0.3224 0.8071 V
0.2003 0.9504 0.2654 V
0.8931 0.3509 0.9652 V
0.2128 0.6057 0.8719 V
0.9936 0.6776 0.1929 V
0.9452 0.0147 0.5793 V
0.1397 0.2981 0.6504 V
0.7872 0.3943 0.1281 V
0.4001 0.9700 0.0982 V
0.0548 0.9853 0.4207 V
0.7492 0.7281 0.5063 V
0.1778 0.4525 0.9683 F
0.5080 0.6029 0.8527 F
0.7309 0.2574 0.7877 F
0.8359 0.5515 0.4401 F
0.6563 0.7855 0.9335 F
0.8222 0.5475 0.0317 F
0.3470 0.0689 0.9617 F
0.0977 0.1439 0.3319 F
0.4619 0.0307 0.2920 F
0.7263 0.6082 0.1798 F
0.8756 0.2198 0.0592 F
0.4333 0.2937 0.6457 F
0.9924 0.1755 0.8974 F
0.6530 0.9311 0.0383 F
0.5941 0.5481 0.7182 F
0.0917 0.1310 0.7388 F
0.0076 0.8245 0.1026 F
0.9023 0.8561 0.6681 F
0.0340 0.8292 0.5140 F
0.7957 0.9189 0.8222 F
0.8486 0.2087 0.6408 F
0.2762 0.4166 0.4070 F
0.9660 0.1708 0.4860 F
0.8120 0.2450 0.2175 F
0.5667 0.7063 0.3543 F
0.1514 0.7913 0.3592 F
0.6345 0.2801 0.9414 F
0.1880 0.7550 0.7825 F
0.7824 0.8933 0.4172 F
0.3899 0.0109 0.8408 F
0.4059 0.4519 0.2818 F
0.1641 0.4485 0.5599 F
0.6767 0.2684 0.3655 F
0.5354 0.2701 0.5080 F
0.6101 0.9891 0.1592 F
0.0416 0.4713 0.7143 F
0.3295 0.0613 0.4300 F
0.5381 0.9693 0.7080 F
0.3233 0.7316 0.6345 F
0.4920 0.3971 0.1473 F
0.1244 0.7802 0.9408 F
0.9223 0.5140 0.8724 F
0.2691 0.7426 0.2123 F
0.4646 0.7299 0.4920 F
0.0777 0.4860 0.1276 F
0.3655 0.7199 0.0586 F
0.6705 0.9387 0.5700 F
0.3437 0.2145 0.0665 F
0.9584 0.5287 0.2857 F
0.7238 0.5834 0.5930 F
0.2737 0.3918 0.8202 F
0.9083 0.8690 0.2612 F
0.2176 0.1067 0.5828 F
0.2043 0.0811 0.1778 F
```

Computed properties:
- Crystal system: triclinic
- Offset from the most stable computed form: 0.076 eV/atom
- Formation energy from the elements: -2970 meV/atom
- SG: P-1 (2)